Record 1
# HPt3

An optimized crystal structure of HPt3 (PBE, the Materials Project).

Lattice parameters (Å, degrees): 3.818 3.818 3.818 90.00 90.00 90.00
Fractional coordinates of all 4 atoms:
1 H 0.000 0.000 0.000
2 Pt 0.000 0.500 0.500
3 Pt 0.500 0.000 0.500
4 Pt 0.500 0.500 0.000

Output
DFT formation energy = 568 meV per atom
volume = 55.7 Å³ per cell
VASP energy = -4.834 eV per atom
excess energy over the best structure of this formula in the dataset = 4 meV/atom
symmetry = No. 221
M_tot = 0.00 μB per atom

=====

Record 2
# Rb2H6Pt

An optimized crystal structure of Rb2H6Pt (PBE, the Materials Project).

Lattice parameters (Å, degrees): 6.080 6.080 6.080 60.00 60.00 60.00
Fractional coordinates of all 9 atoms:
1 Rb 0.250 0.250 0.250
2 Rb 0.750 0.750 0.750
3 H 0.193 0.193 0.807
4 H 0.193 0.807 0.193
5 H 0.193 0.807 0.807
6 H 0.807 0.193 0.193
7 H 0.807 0.193 0.807
8 H 0.807 0.807 0.193
9 Pt 0.000 0.000 0.000

Output
DFT formation energy = -381 meV per atom
volume = 158.9 Å³ per cell
VASP energy = -3.535 eV per atom
symmetry = No. 225

=====

Record 3
# Rb2H4Pt

An optimized crystal structure of Rb2H4Pt (PBE, the Materials Project).

Lattice parameters (Å, degrees): 5.963 5.963 8.418 90.00 90.00 90.00
Fractional coordinates of all 14 atoms:
1 Rb 0.000 0.500 0.250
2 Rb 0.000 0.500 0.750
3 Rb 0.500 0.000 0.250
4 Rb 0.500 0.000 0.750
5 H 0.000 0.000 0.198
6 H 0.000 0.000 0.802
7 H 0.197 0.197 0.000
8 H 0.303 0.697 0.500
9 H 0.500 0.500 0.302
10 H 0.500 0.500 0.698
11 H 0.697 0.303 0.500
12 H 0.803 0.803 0.000
13 Pt 0.000 0.000 0.000
14 Pt 0.500 0.500 0.500

Output
DFT formation energy = -387 meV per atom
volume = 299.3 Å³ per cell
VASP energy = -3.474 eV per atom
symmetry = No. 136

=====

Record 4
# Sr2H6Pt

An optimized crystal structure of Sr2H6Pt (PBE, the Materials Project).

Lattice parameters (Å, degrees): 7.436 7.436 5.645 90.00 90.00 44.59
Fractional coordinates of all 18 atoms:
1 Sr 0.146 0.146 0.000
2 Sr 0.354 0.354 0.500
3 Sr 0.646 0.646 0.500
4 Sr 0.854 0.854 0.000
5 H 0.001 0.499 0.750
6 H 0.121 0.121 0.500
7 H 0.207 0.793 0.720
8 H 0.293 0.707 0.220
9 H 0.379 0.379 0.000
10 H 0.499 0.001 0.250
11 H 0.501 0.999 0.750
12 H 0.621 0.621 0.000
13 H 0.707 0.293 0.780
14 H 0.793 0.207 0.280
15 H 0.879 0.879 0.500
16 H 0.999 0.501 0.250
17 Pt 0.000 0.000 0.500
18 Pt 0.500 0.500 0.000

Output
DFT formation energy = -561 meV per atom
volume = 219.1 Å³ per cell
VASP energy = -3.872 eV per atom
symmetry = No. 64